Record 1
A relaxed structure of BaCuP. Source: Materials Project, functional r2SCAN.

total moment	0.0	μB/f.u.

```
6
Lattice="4.198 0.000 0.000 -2.099 3.636 0.000 0.000 0.000 9.251" Properties=species:S:1:pos:R:3 pbc="T T T"
Ba 0.000 0.000 0.000
Cu 2.099 1.212 2.313
P 2.099 1.212 6.938
Ba 0.000 0.000 4.625
P 0.000 2.424 2.313
Cu 0.000 2.424 6.938
```

=====

Record 2
A relaxed structure of BaCu2S2. Source: Materials Project, functional r2SCAN.

total moment	0.0	μB/f.u.

```
20
Lattice="-0.504 -3.966 0.581 1.722 1.102 9.016 -10.125 1.543 1.745" Properties=species:S:1:pos:R:3 pbc="T T T"
S -1.167 -2.146 5.406
Cu 0.450 -0.282 5.484
Cu -5.386 0.569 6.230
S -4.733 -1.416 7.293
Ba -2.134 0.324 7.380
S 0.906 0.003 7.830
Ba -1.494 -0.456 2.613
Cu -9.357 -1.039 5.858
Cu -3.521 -1.890 5.112
S -9.814 -1.324 3.512
S -3.725 -2.439 1.190
Cu 0.092 -1.758 9.146
S -5.183 1.117 10.152
Ba -6.773 -1.645 3.962
Cu -9.000 0.437 2.196
Ba -7.414 -0.865 8.729
Cu -4.614 -0.193 1.700
Cu -4.293 -1.128 9.642
S -4.174 0.095 4.049
S -7.740 0.825 5.936
```

=====

Record 3
A relaxed structure of BaCu2S2. Source: Materials Project, functional r2SCAN.

total moment	0.0	μB/f.u.

```
5
Lattice="-3.437 1.835 -0.215 -0.916 -1.298 3.564 4.777 4.902 0.878" Properties=species:S:1:pos:R:3 pbc="T T T"
S 1.867 3.712 1.832
Cu -0.418 3.502 1.169
Ba 0.000 0.000 0.000
S -1.443 1.726 2.394
Cu 0.842 1.936 3.058
```

=====

Record 4
A relaxed structure of BaCuSb. Source: Materials Project, functional r2SCAN.

total moment	0.0	μB/f.u.

```
6
Lattice="-2.202 -0.236 -4.032 2.253 -3.674 1.609 -7.983 -2.912 4.531" Properties=species:S:1:pos:R:3 pbc="T T T"
Sb -5.220 -4.712 3.126
Cu -1.228 -3.256 0.861
Sb -2.713 -2.110 -1.019
Ba 0.000 0.000 0.000
Ba -3.992 -1.456 2.265
Cu -6.705 -3.566 1.246
```

=====

Record 5
A relaxed structure of BaCuSn2. Source: Materials Project, functional r2SCAN.

total moment	0.0	μB/f.u.

```
8
Lattice="-0.284 -2.827 3.711 1.863 -3.637 -2.628 8.021 4.459 4.009" Properties=species:S:1:pos:R:3 pbc="T T T"
Ba 2.804 -1.952 0.199
Cu 3.005 -1.171 3.752
Sn 4.390 0.609 2.271
Ba 6.797 -0.053 4.893
Sn 0.561 -1.892 3.016
Cu 6.596 -0.834 1.340
Sn 5.211 -2.614 2.822
Sn 9.040 -0.113 2.076
```

=====

Record 6
A relaxed structure of BaYbCuTe3. Source: Materials Project, functional r2SCAN.

total moment	0.0	μB/f.u.

```
12
Lattice="1.735 3.617 -6.676 -5.548 -3.009 4.563 -1.231 10.008 5.102" Properties=species:S:1:pos:R:3 pbc="T T T"
Te -1.472 5.621 -0.311
Cu -3.081 7.581 3.158
Te -5.983 4.941 7.637
Yb -0.615 5.004 2.551
Ba -1.012 9.464 -0.035
Te -4.046 8.843 5.262
Te -3.572 4.995 3.300
Cu -1.964 3.034 -0.168
Yb 0.000 0.000 0.000
Ba -4.032 1.152 3.024
Te 0.939 5.675 -4.647
Te -0.999 1.772 -2.272
```

=====

Record 7
A relaxed structure of Ba3Dy4O9. Source: Materials Project, functional r2SCAN.

total moment	0.0	μB/f.u.

```
16
Lattice="0.297 -8.219 -4.082 5.963 -6.470 -2.625 2.267 -8.739 1.674" Properties=species:S:1:pos:R:3 pbc="T T T"
O 5.133 -10.951 -0.891
O 4.625 -10.462 -4.026
O 1.479 -6.365 0.336
O 2.294 -11.703 -2.196
Ba 8.510 -23.382 -5.022
O 1.066 -5.862 -2.704
Dy 3.617 -9.937 -2.134
Dy 7.358 -20.218 -4.343
Ba 1.390 -3.818 -0.820
Dy 6.286 -17.270 -3.710
O 1.445 -9.015 -1.716
O 3.783 -5.160 -1.367
Ba 4.909 -13.489 -2.897
O 3.692 -7.854 -3.316
Dy 2.549 -7.003 -1.504
O 4.044 -8.355 -0.386
```

=====

Record 8
A relaxed structure of BaDy2O4. Source: Materials Project, functional r2SCAN.

total moment	0.0	μB/f.u.

```
28
Lattice="0.000 -3.460 0.000 -10.427 0.000 0.000 0.000 0.000 -12.122" Properties=species:S:1:pos:R:3 pbc="T T T"
O -9.227 -0.865 -5.849
O -1.201 -2.595 -6.273
Dy -4.440 -2.595 -4.717
Dy -5.988 -0.865 -7.405
O -2.189 -2.595 -10.196
Dy -9.653 -2.595 -1.344
O -5.405 -2.595 -2.635
Dy -6.022 -0.865 -1.324
O -4.013 -0.865 -0.212
O -7.402 -2.595 -7.987
O -9.703 -2.595 -11.224
O -5.023 -0.865 -9.487
O -3.025 -0.865 -4.135
Ba -7.850 -2.595 -4.252
O -0.724 -0.865 -0.898
O -5.938 -0.865 -5.163
Dy -0.774 -0.865 -10.778
O -4.490 -2.595 -6.959
Dy -0.808 -0.865 -4.737
Dy -9.620 -2.595 -7.385
Dy -4.406 -2.595 -10.798
Ba -2.577 -0.865 -7.870
O -10.236 -0.865 -8.696
Ba -7.791 -0.865 -10.313
O -6.414 -2.595 -11.910
O -0.191 -2.595 -3.426
Ba -2.637 -2.595 -1.809
O -8.239 -0.865 -1.926
```

=====

ΔE_f per entry: -0.8202 -1.0705 -1.0643 -0.7917 -0.4663 -1.4218 -3.4702 -3.6012 eV/atom
Calculated total energy per entry: -16.270 -13.923 -13.917 -21.809 -22.176 -26.443 -19.794 -19.937 eV per atom